First-principles (PBE) data for a relaxed structure of Be3Ni, as listed in Materials Project.

Computed properties:
- Uncorrected energy: -4.533 eV per atom
- Formation energy from the elements: -284 meV/atom
- Crystal system: tetragonal
- Distance to the lowest polymorph of the same formula: 0.000 eV/f.u.

Unit cell a=4.075 b=4.075 c=4.075 alpha=134.60 beta=134.60 gamma=66.16
Sites, in units of the cell vectors:
Ni1 0.000 0.000 0.000
Be1 0.750 0.250 0.500
Be2 0.500 0.500 0.000
Be3 0.250 0.750 0.500

=====

First-principles (PBE) data for a relaxed structure of LiNdGeO4, as listed in Materials Project.

Computed properties:
- Uncorrected energy: -6.907 eV per atom
- Formation energy from the elements: -2858 meV/atom
- Crystal system: orthorhombic

Unit cell a=5.155 b=5.456 c=12.049 alpha=90.00 beta=90.00 gamma=90.00
Sites, in units of the cell vectors:
O1 0.749 0.415 0.543
O2 0.251 0.085 0.543
O3 0.176 0.953 0.298
O4 0.749 0.915 0.457
O5 0.676 0.547 0.798
Nd1 0.000 0.250 0.887
Ge1 0.500 0.250 0.110
O6 0.251 0.585 0.457
O7 0.324 0.453 0.202
O8 0.176 0.453 0.702
O9 0.324 0.953 0.798
Nd2 0.500 0.250 0.387
O10 0.751 0.415 0.043
Li1 0.000 0.750 0.767
O11 0.751 0.915 0.957
O12 0.249 0.085 0.043
Nd3 0.500 0.750 0.613
Li2 0.500 0.750 0.267
O13 0.676 0.047 0.202
Ge2 0.000 0.750 0.390
O14 0.824 0.047 0.702
Ge3 0.500 0.750 0.890
O15 0.249 0.585 0.957
Ge4 0.000 0.250 0.610
O16 0.824 0.547 0.298
Nd4 0.000 0.750 0.113
Li3 0.500 0.250 0.733
Li4 0.000 0.250 0.233

=====

First-principles (PBE) data for a relaxed structure of CeSe2, as listed in Materials Project.

Computed properties:
- Uncorrected energy: -5.784 eV per atom
- Formation energy from the elements: -1790 meV/atom
- Crystal system: tetragonal

Unit cell a=6.612 b=6.612 c=8.776 alpha=90.00 beta=90.00 gamma=90.00
Sites, in units of the cell vectors:
Se1 0.207 0.180 0.771
Ce1 0.525 0.475 0.250
Ce2 0.475 0.525 0.750
Se2 0.293 0.680 0.479
Se3 0.680 0.293 0.521
Se4 0.180 0.207 0.229
Se5 0.320 0.707 0.021
Se6 0.793 0.820 0.271
Se7 0.707 0.320 0.979
Ce3 0.975 0.975 0.000
Ce4 0.025 0.025 0.500
Se8 0.820 0.793 0.729

=====

First-principles (PBE) data for a relaxed structure of Bi2Se3O10, as listed in Materials Project.

Computed properties:
- Uncorrected energy: -5.471 eV per atom
- Formation energy from the elements: -1413 meV/atom
- Crystal system: monoclinic

Unit cell a=8.957 b=8.957 c=8.169 alpha=69.37 beta=69.37 gamma=50.89
Sites, in units of the cell vectors:
Se1 0.053 0.200 0.528
O1 0.960 0.423 0.385
Se2 0.389 0.611 0.750
O2 0.001 0.252 0.734
O3 0.748 0.999 0.766
O4 0.423 0.960 0.885
O5 0.577 0.040 0.115
O6 0.999 0.748 0.266
Bi1 0.523 0.835 0.350
O7 0.289 0.752 0.567
Se3 0.611 0.389 0.250
O8 0.602 0.585 0.694
O9 0.695 0.892 0.523
Se4 0.200 0.053 0.028
Bi2 0.835 0.523 0.850
O10 0.305 0.108 0.477
O11 0.248 0.711 0.933
O12 0.585 0.602 0.194
O13 0.892 0.695 0.023
O14 0.711 0.248 0.433
Se5 0.800 0.947 0.972
Se6 0.947 0.800 0.472
Bi3 0.477 0.165 0.650
O15 0.752 0.289 0.067
O16 0.040 0.577 0.615
O17 0.398 0.415 0.306
Bi4 0.165 0.477 0.150
O18 0.252 0.001 0.234
O19 0.415 0.398 0.806
O20 0.108 0.305 0.977

=====

Which value of uncorrected energy does entry 4 give?
-5.471 eV per atom